Record 1
Entry from the Materials Project database: a relaxed LiCr2S4 crystal (GGA-PBE).

Structure (POSCAR):
```
LiCr2S4
1.0
0.000 4.998 4.998
4.998 0.000 4.998
4.998 4.998 0.000
Li Cr S
2 4 8
Direct
0.125 0.125 0.125
0.875 0.875 0.875
0.000 0.500 0.500
0.500 0.000 0.500
0.500 0.500 0.000
0.500 0.500 0.500
0.261 0.261 0.261
0.261 0.261 0.718
0.261 0.718 0.261
0.282 0.739 0.739
0.718 0.261 0.261
0.739 0.282 0.739
0.739 0.739 0.282
0.739 0.739 0.739
```

Calculated values
DFT formation energy = -1.086 eV/atom
energy relative to the lowest polymorph listed for this composition = 8 meV/atom
volume = 17.83 Å³ per atom

---

Record 2
Entry from the Materials Project database: a relaxed Na10Hf5Zn3P12O48 crystal (GGA-PBE).

Structure (POSCAR):
```
Na10Hf5Zn3P12O48
1.0
8.980 0.000 0.000
-0.003 15.535 0.000
-0.006 -0.012 22.644
Na Hf Zn P O
30 15 9 36 144
Direct
0.000 0.000 0.000
0.000 0.337 0.669
0.020 0.035 0.337
0.023 0.701 0.669
0.057 0.008 0.668
0.061 0.342 0.337
0.181 0.516 0.920
0.186 0.844 0.584
0.191 0.525 0.424
0.193 0.182 0.752
0.199 0.844 0.083
0.207 0.182 0.259
0.328 0.008 0.169
0.364 0.701 0.169
0.365 0.368 0.500
0.385 0.003 0.500
0.387 0.337 0.170
0.499 0.837 0.669
0.500 0.500 0.000
0.522 0.201 0.668
0.558 0.508 0.669
0.681 0.016 0.920
0.692 0.682 0.254
0.693 0.682 0.753
0.697 0.017 0.424
0.699 0.344 0.083
0.705 0.348 0.584
0.830 0.508 0.169
0.865 0.202 0.169
0.888 0.837 0.169
0.191 0.182 0.597
0.191 0.846 0.434
0.194 0.183 0.098
0.194 0.515 0.769
0.195 0.183 0.894
0.197 0.846 0.932
0.198 0.518 0.269
0.685 0.015 0.269
0.693 0.682 0.396
0.693 0.682 0.598
0.694 0.015 0.769
0.695 0.683 0.098
0.695 0.683 0.894
0.696 0.347 0.433
0.697 0.346 0.932
0.184 0.516 0.063
0.185 0.519 0.563
0.194 0.849 0.738
0.195 0.847 0.239
0.201 0.181 0.400
0.684 0.016 0.063
0.690 0.349 0.239
0.694 0.349 0.738
0.704 0.016 0.564
0.042 0.034 0.495
0.046 0.702 0.829
0.047 0.331 0.496
0.047 0.370 0.164
0.047 0.995 0.830
0.049 0.662 0.163
0.337 0.996 0.331
0.339 0.661 0.663
0.340 0.369 0.662
0.341 0.331 0.998
0.342 0.035 0.998
0.343 0.703 0.329
0.398 0.347 0.330
0.399 0.682 0.998
0.401 0.015 0.662
0.487 0.515 0.161
0.487 0.848 0.829
0.489 0.181 0.497
0.544 0.534 0.498
0.546 0.202 0.829
0.546 0.831 0.498
0.546 0.869 0.163
0.547 0.495 0.830
0.549 0.162 0.162
0.838 0.162 0.664
0.839 0.496 0.328
0.840 0.869 0.664
0.841 0.831 0.998
0.842 0.201 0.328
0.842 0.535 0.998
0.899 0.182 0.998
0.900 0.848 0.328
0.901 0.515 0.664
0.986 0.015 0.163
0.987 0.348 0.829
0.988 0.680 0.498
0.003 0.532 0.719
0.006 0.862 0.382
0.008 0.172 0.946
0.009 0.855 0.670
0.010 0.525 0.001
0.011 0.190 0.335
0.013 0.500 0.325
0.014 0.168 0.659
0.014 0.839 0.992
0.067 0.751 0.771
0.074 0.427 0.111
0.074 0.603 0.218
0.076 0.086 0.439
0.077 0.274 0.552
0.081 0.940 0.886
0.082 0.765 0.492
0.085 0.099 0.159
0.085 0.601 0.500
0.086 0.431 0.826
0.090 0.269 0.839
0.091 0.937 0.170
0.112 0.754 0.170
0.112 0.959 0.773
0.113 0.289 0.441
0.115 0.087 0.839
0.116 0.749 0.883
0.118 0.078 0.551
0.119 0.410 0.221
0.120 0.611 0.826
0.121 0.419 0.503
0.122 0.622 0.109
0.124 0.279 0.159
0.129 0.945 0.492
0.257 0.947 0.992
0.262 0.278 0.659
0.265 0.085 0.336
0.265 0.414 0.716
0.267 0.621 0.609
0.268 0.612 0.326
0.270 0.077 0.054
0.271 0.750 0.383
0.271 0.956 0.274
0.275 0.421 0.001
0.275 0.753 0.670
0.276 0.280 0.945
0.290 0.271 0.336
0.295 0.937 0.670
0.298 0.092 0.945
0.298 0.431 0.326
0.302 0.099 0.659
0.303 0.764 0.992
0.305 0.939 0.386
0.307 0.599 0.001
0.312 0.276 0.055
0.313 0.603 0.719
0.317 0.422 0.606
0.322 0.751 0.271
0.373 0.169 0.158
0.373 0.838 0.492
0.374 0.504 0.826
0.376 0.191 0.839
0.376 0.522 0.500
0.377 0.855 0.170
0.382 0.531 0.216
0.382 0.860 0.883
0.388 0.167 0.445
0.390 0.198 0.554
0.396 0.501 0.105
0.402 0.834 0.771
0.487 0.337 0.272
0.491 0.000 0.606
0.496 0.695 0.056
0.500 0.359 0.385
0.506 0.031 0.716
0.508 0.672 0.946
0.509 0.025 0.001
0.510 0.356 0.670
0.511 0.003 0.326
0.512 0.691 0.339
0.514 0.339 0.992
0.514 0.669 0.659
0.567 0.252 0.771
0.572 0.925 0.109
0.573 0.103 0.218
0.577 0.776 0.555
0.580 0.267 0.492
0.581 0.440 0.886
0.586 0.101 0.505
0.586 0.600 0.159
0.586 0.931 0.826
0.587 0.592 0.445
0.589 0.769 0.839
0.591 0.437 0.169
0.610 0.921 0.500
0.611 0.254 0.170
0.611 0.576 0.555
0.611 0.780 0.445
0.612 0.459 0.773
0.615 0.587 0.839
0.616 0.249 0.883
0.619 0.111 0.826
0.619 0.443 0.491
0.621 0.911 0.218
0.622 0.121 0.109
0.624 0.778 0.159
0.757 0.447 0.992
0.763 0.778 0.659
0.765 0.122 0.610
0.765 0.911 0.719
0.770 0.109 0.325
0.770 0.577 0.054
0.771 0.248 0.382
0.774 0.587 0.339
0.776 0.254 0.671
0.776 0.780 0.945
0.776 0.921 0.001
0.777 0.461 0.270
0.795 0.437 0.671
0.795 0.770 0.339
0.798 0.592 0.945
0.802 0.264 0.992
0.803 0.599 0.659
0.807 0.099 0.001
0.807 0.435 0.382
0.807 0.933 0.325
0.812 0.776 0.055
0.813 0.103 0.719
0.815 0.925 0.610
0.817 0.254 0.272
0.873 0.338 0.492
0.873 0.669 0.158
0.874 0.004 0.827
0.876 0.022 0.502
0.876 0.691 0.839
0.877 0.355 0.170
0.880 0.674 0.445
0.882 0.360 0.883
0.885 0.030 0.219
0.891 0.693 0.555
0.893 0.001 0.107
0.903 0.334 0.771
0.984 0.834 0.270
0.996 0.195 0.056
0.997 0.498 0.610
```

Calculated values
DFT formation energy = -2.899 eV/atom
volume = 13.50 Å³ per atom

---

Record 3
Entry from the Materials Project database: a relaxed LaGaO3 crystal (GGA-PBE).

Structure (POSCAR):
```
LaGaO3
1.0
2.798 1.615 4.488
-2.798 1.615 4.488
0.000 -3.230 4.488
La Ga O
2 2 6
Direct
0.000 0.000 0.000
0.500 0.500 0.500
0.248 0.248 0.248
0.748 0.748 0.748
0.067 0.927 0.494
0.427 0.567 0.994
0.494 0.067 0.927
0.567 0.994 0.427
0.927 0.494 0.067
0.994 0.427 0.567
```

Calculated values
DFT formation energy = -3.092 eV/atom
volume = 12.17 Å³ per atom

---

Record 4
Entry from the Materials Project database: a relaxed HfCrAgS4 crystal (GGA-PBE).

Structure (POSCAR):
```
HfCrAgS4
1.0
6.612 0.000 0.000
-0.020 7.748 0.000
-1.021 -1.849 12.647
Hf Cr Ag S
4 4 4 16
Direct
0.144 0.204 0.304
0.242 0.381 0.999
0.758 0.619 0.001
0.856 0.796 0.696
0.361 0.056 0.704
0.363 0.547 0.701
0.637 0.453 0.299
0.639 0.944 0.296
0.121 0.699 0.305
0.265 0.874 0.000
0.735 0.126 0.000
0.879 0.301 0.695
0.094 0.641 0.104
0.123 0.165 0.116
0.203 0.787 0.639
0.229 0.282 0.636
0.333 0.463 0.376
0.333 0.970 0.368
0.375 0.109 0.879
0.415 0.576 0.885
0.585 0.424 0.115
0.625 0.891 0.121
0.667 0.030 0.632
0.667 0.537 0.624
0.771 0.718 0.364
0.797 0.213 0.361
0.877 0.835 0.884
0.906 0.359 0.896
```

Calculated values
DFT formation energy = -1.005 eV/atom
energy relative to the lowest polymorph listed for this composition = 227 meV/atom
volume = 23.14 Å³ per atom

---

Record 5
Entry from the Materials Project database: a relaxed CsMg30BO31 crystal (GGA-PBE).

Structure (POSCAR):
```
CsMg30BO31
1.0
8.581 0.000 0.000
0.000 8.652 0.000
0.000 0.000 8.772
Cs Mg B O
1 30 1 31
Direct
0.000 0.000 0.000
0.000 0.000 0.496
0.000 0.254 0.248
0.000 0.256 0.736
0.000 0.500 0.492
0.000 0.500 0.990
0.000 0.744 0.736
0.000 0.746 0.248
0.247 0.500 0.241
0.250 0.000 0.252
0.251 0.251 0.492
0.251 0.749 0.492
0.254 0.000 0.736
0.257 0.500 0.739
0.258 0.258 0.988
0.258 0.742 0.988
0.500 0.000 0.005
0.500 0.000 0.492
0.500 0.249 0.241
0.500 0.264 0.743
0.500 0.500 0.494
0.500 0.736 0.743
0.500 0.751 0.241
0.742 0.258 0.988
0.742 0.742 0.988
0.743 0.500 0.739
0.746 0.000 0.736
0.749 0.251 0.492
0.749 0.749 0.492
0.750 0.000 0.252
0.753 0.500 0.241
0.500 0.500 0.040
0.000 0.000 0.282
0.000 0.000 0.711
0.000 0.258 0.491
0.000 0.287 0.987
0.000 0.500 0.242
0.000 0.500 0.736
0.000 0.713 0.987
0.000 0.742 0.491
0.250 0.249 0.238
0.250 0.255 0.740
0.250 0.745 0.740
0.250 0.751 0.238
0.253 0.500 0.483
0.257 0.000 0.491
0.288 0.000 0.975
0.295 0.500 0.997
0.500 0.000 0.243
0.500 0.256 0.481
0.500 0.291 0.998
0.500 0.500 0.210
0.500 0.500 0.719
0.500 0.709 0.998
0.500 0.744 0.481
0.705 0.500 0.997
0.712 0.000 0.975
0.743 0.000 0.491
0.747 0.500 0.483
0.750 0.249 0.238
0.750 0.255 0.740
0.750 0.745 0.740
0.750 0.751 0.238
```

Calculated values
DFT formation energy = -2.759 eV/atom
energy relative to the lowest polymorph listed for this composition = 70 meV/atom
volume = 10.34 Å³ per atom

---

Record 6
Entry from the Materials Project database: a relaxed CoC6N6 crystal (GGA-PBE).

Structure (POSCAR):
```
CoC6N6
1.0
6.814 0.000 0.000
-3.407 5.901 0.000
0.000 0.000 6.026
Co C N
1 6 6
Direct
0.000 0.000 0.000
0.000 0.218 0.810
0.000 0.782 0.190
0.218 0.000 0.810
0.218 0.218 0.190
0.782 0.000 0.190
0.782 0.782 0.810
0.000 0.361 0.699
0.000 0.639 0.301
0.361 0.000 0.699
0.361 0.361 0.301
0.639 0.000 0.301
0.639 0.639 0.699
```

Calculated values
DFT formation energy = 1.041 eV/atom
volume = 18.64 Å³ per atom